Below is crystalline TmB2 at its relaxed geometry, with properties calculated at the meta-GGA r2SCAN level.

## Properties
ΔE_f, meV/atom: -735

```
data_TmB2
_chemical_formula_sum 'Tm1 B2'
_symmetry_space_group_name_H-M 'P 6/m m m'
_symmetry_Int_Tables_number 191
_symmetry_space_group_name_Hall '-P 6 2'
_cell_length_a 3.2595
_cell_length_b 3.2595
_cell_length_c 3.7582
_cell_angle_alpha 90.00
_cell_angle_beta 90.00
_cell_angle_gamma 120.00
loop_
_atom_site_label
_atom_site_type_symbol
_atom_site_fract_x
_atom_site_fract_y
_atom_site_fract_z
Tm1 Tm 0.0000 0.0000 0.0000
B1 B 0.3333 0.6667 0.5000
```